No. 1
## CaH4SO6 (PBE)

Data for a geometry-optimized CaH4SO6 structure.

a b c (Å): 8.2843 8.2843 6.3868
angles (deg): 81.99 81.99 139.87
Last column: nearest neighbours and their distance in Å.
Sites, in units of the cell vectors:
1 Ca 0.8239 0.1761 0.7500  6 O 2.34-2.52
2 Ca 0.1761 0.8239 0.2500  6 O 2.34-2.52
3 H 0.5918 0.4106 0.9861  1 O 0.99
4 H 0.5894 0.4082 0.5139  1 O 0.99
5 H 0.2805 0.3116 0.5093  1 O 0.98
6 H 0.3116 0.2805 0.0093  1 O 0.98
7 H 0.6884 0.7195 0.9907  1 O 0.98
8 H 0.7195 0.6884 0.4907  1 O 0.98
9 H 0.4106 0.5918 0.4861  1 O 0.99
10 H 0.4082 0.5894 0.0139  1 O 0.99
11 S 0.1703 0.8297 0.7500  4 O 1.49
12 S 0.8297 0.1703 0.2500  4 O 1.49
13 O 0.2414 0.3918 0.5466  2 H 0.98-0.99
14 O 0.3778 0.9264 0.8408  1 S 1.49
15 O 0.2897 0.0565 0.5542  1 S 1.49
16 O 0.3918 0.2414 0.0466  2 H 0.98-0.99
17 O 0.9264 0.3778 0.3408  1 S 1.49
18 O 0.9435 0.7103 0.9458  1 S 1.49
19 O 0.0565 0.2897 0.0542  1 S 1.49
20 O 0.0736 0.6222 0.6592  1 S 1.49
21 O 0.6082 0.7586 0.9534  2 H 0.98-0.99
22 O 0.7103 0.9435 0.4458  1 S 1.49
23 O 0.6222 0.0736 0.1592  1 S 1.49
24 O 0.7586 0.6082 0.4534  2 H 0.98-0.99

Properties
The magnetic moment comes out at 0.00 μB/atom. As for the energy of formation from the pure elements: -1.94 eV/atom. The polymorph energy (0 for the lowest one) comes out at 0.019 eV/atom. Its space group is No. 15.

No. 2
## Ca2H2S2O9 (PBE)

Data for a geometry-optimized Ca2H2S2O9 structure.

a b c (Å): 9.4677 9.4677 12.2004
angles (deg): 50.41 50.41 43.67
Last column: nearest neighbours and their distance in Å.
Sites, in units of the cell vectors:
1 Ca 0.4840 0.5160 0.5000  8 O 2.41-2.68
2 Ca 0.9823 0.3434 0.5563  7 O 2.37-2.54
3 Ca 0.6566 0.0177 0.4437  7 O 2.37-2.54
4 Ca 0.1184 0.5528 0.9255  8 O 2.37-2.63
5 Ca 0.4472 0.8816 0.0745  8 O 2.37-2.63
6 Ca 0.9843 0.0157 0.0000  7 O 2.37-2.57
7 H 0.6018 0.4714 0.9125  1 O 0.97
8 H 0.5286 0.3982 0.0875  1 O 0.97
9 H 0.0938 0.2129 0.3260  1 O 0.98
10 H 0.7871 0.9062 0.6740  1 O 0.98
11 H 0.3094 0.0941 0.3434  1 O 0.97
12 H 0.9059 0.6906 0.6566  1 O 0.97
13 S 0.2335 0.2692 0.7481  4 O 1.49
14 S 0.7308 0.7665 0.2519  4 O 1.49
15 S 0.2346 0.6029 0.3059  4 O 1.48-1.50
16 S 0.3971 0.7654 0.6941  4 O 1.48-1.50
17 S 0.8824 0.2911 0.1880  4 O 1.48-1.51
18 S 0.7089 0.1176 0.8120  4 O 1.48-1.51
19 O 0.1721 0.4586 0.7572  1 S 1.49
20 O 0.5414 0.8279 0.2428  1 S 1.49
21 O 0.2855 0.0744 0.8846  1 S 1.49
22 O 0.9256 0.7145 0.1154  1 S 1.49
23 O 0.0508 0.3190 0.7397  1 S 1.49
24 O 0.6810 0.9492 0.2603  1 S 1.49
25 O 0.4255 0.2307 0.6094  1 S 1.49
26 O 0.7693 0.5745 0.3906  1 S 1.49
27 O 0.0056 0.6646 0.4039  1 S 1.49
28 O 0.3354 0.9944 0.5961  1 S 1.49
29 O 0.2556 0.7211 0.1427  1 S 1.49
30 O 0.2789 0.7444 0.8573  1 S 1.49
31 O 0.3107 0.6654 0.3362  1 S 1.50
32 O 0.3346 0.6893 0.6638  1 S 1.50
33 O 0.3663 0.3658 0.3377  1 S 1.48
34 O 0.6342 0.6337 0.6623  1 S 1.48
35 O 0.7819 0.5151 0.0832  1 S 1.49
36 O 0.4849 0.2181 0.9168  1 S 1.49
37 O 0.7669 0.2849 0.3470  1 S 1.48
38 O 0.7151 0.2331 0.6530  1 S 1.48
39 O 0.8829 0.1387 0.1823  1 S 1.49
40 O 0.8613 0.1171 0.8177  1 S 1.49
41 O 0.1128 0.2182 0.1386  1 S 1.51
42 O 0.7818 0.8872 0.8614  1 S 1.51
43 O 0.1533 0.1659 0.3935  2 H 0.97-0.98
44 O 0.8341 0.8467 0.6065  2 H 0.97-0.98
45 O 0.6477 0.3523 0.0000  2 H 0.97

Properties
As for the energy of formation from the pure elements: -2.37 eV/atom. The polymorph energy (0 for the lowest one) comes out at 0.000 eV/atom. Its space group is No. 5.

No. 3
## CaH4SO6 (PBE)

Data for a geometry-optimized CaH4SO6 structure.

a b c (Å): 8.1956 8.1956 5.7642
angles (deg): 80.76 80.76 133.95
Last column: nearest neighbours and their distance in Å.
Sites, in units of the cell vectors:
1 Ca 0.3299 0.6701 0.2500  8 O 2.37-2.62
2 Ca 0.6701 0.3299 0.7500  8 O 2.37-2.62
3 H 0.2475 0.2608 0.5900  1 O 0.98
4 H 0.7392 0.7525 0.9100  1 O 0.98
5 H 0.7525 0.7392 0.4100  1 O 0.98
6 H 0.2608 0.2475 0.0900  1 O 0.98
7 H 0.8400 0.6599 0.2424  1 O 0.99
8 H 0.3401 0.1600 0.2576  1 O 0.99
9 H 0.1600 0.3401 0.7576  1 O 0.99
10 H 0.6599 0.8400 0.7424  1 O 0.99
11 S 0.8286 0.1714 0.2500  4 O 1.49-1.50
12 S 0.1714 0.8286 0.7500  4 O 1.49-1.50
13 O 0.0820 0.3129 0.0842  1 S 1.50
14 O 0.3135 0.8583 0.9048  1 S 1.49
15 O 0.6865 0.1417 0.0952  1 S 1.49
16 O 0.8583 0.3135 0.4048  1 S 1.49
17 O 0.3627 0.2228 0.0809  2 H 0.98-0.99
18 O 0.7772 0.6373 0.4191  2 H 0.98-0.99
19 O 0.6373 0.7772 0.9191  2 H 0.98-0.99
20 O 0.2228 0.3627 0.5809  2 H 0.98-0.99
21 O 0.9180 0.6871 0.9158  1 S 1.50
22 O 0.3129 0.0820 0.5842  1 S 1.50
23 O 0.1417 0.6865 0.5952  1 S 1.49
24 O 0.6871 0.9180 0.4158  1 S 1.50

Properties
As for the energy of formation from the pure elements: -1.96 eV/atom. The polymorph energy (0 for the lowest one) comes out at 0.000 eV/atom. Its space group is No. 15.

No. 4
## CaScSi3HO9 (PBE)

Data for a geometry-optimized CaScSi3HO9 structure.

a b c (Å): 6.8666 7.1405 7.5864
angles (deg): 104.42 93.61 91.84
Last column: nearest neighbours and their distance in Å.
Sites, in units of the cell vectors:
1 Ca 0.3434 0.9146 0.6685  6 O 2.34-2.60
2 Ca 0.6566 0.0854 0.3315  6 O 2.34-2.60
3 Sc 0.3512 0.4064 0.6430  5 O 2.05-2.21
4 Sc 0.6488 0.5936 0.3570  5 O 2.05-2.21
5 Si 0.1756 0.0900 0.2588  4 O 1.62-1.65
6 Si 0.8244 0.9100 0.7412  4 O 1.62-1.65
7 Si 0.1434 0.5237 0.2784  4 O 1.63-1.66
8 Si 0.8566 0.4763 0.7216  4 O 1.63-1.66
9 Si 0.3663 0.7402 0.0455  4 O 1.62-1.67
10 Si 0.6337 0.2598 0.9545  4 O 1.62-1.67
11 H 0.9706 0.8390 0.3051  1 O 1.02
12 H 0.0294 0.1610 0.6949  1 O 1.02
13 O 0.6662 0.8721 0.5633  1 Si 1.64
14 O 0.3338 0.1279 0.4367  1 Si 1.64
15 O 0.6719 0.4205 0.5618  1 Si 1.66
16 O 0.3281 0.5795 0.4382  1 Si 1.66
17 O 0.4388 0.2400 0.8159  1 Si 1.63
18 O 0.5612 0.7600 0.1841  1 Si 1.63
19 O 0.9726 0.9768 0.2900  1 H 1.02
20 O 0.0274 0.0232 0.7100  1 H 1.02
21 O 0.9461 0.6307 0.3474  1 H 1.60, 1 Si 1.63
22 O 0.0539 0.3693 0.6526  1 H 1.60, 1 Si 1.63
23 O 0.3948 0.6737 0.8283  1 Si 1.62
24 O 0.6052 0.3263 0.1717  1 Si 1.62
25 O 0.1017 0.2885 0.2156  2 Si 1.62-1.64
26 O 0.8983 0.7115 0.7844  2 Si 1.62-1.64
27 O 0.2046 0.5948 0.0994  2 Si 1.63-1.64
28 O 0.7954 0.4052 0.9006  2 Si 1.63-1.64
29 O 0.2810 0.9618 0.0815  2 Si 1.65-1.67
30 O 0.7190 0.0382 0.9185  2 Si 1.65-1.67

Properties
The magnetic moment comes out at 0.00 μB/atom. As for the energy of formation from the pure elements: -3.26 eV/atom. Its space group is No. 2.